1.
This record from the Materials Project describes a relaxed structure of AlPH4O6. The functional is GGA-PBE.

Computed properties:
**Magnetization**: 0.00 μB/f.u.
**SG**: P2_1/c

Structure (CIF):
```
data_AlPH4O6
_cell_length_a 9.610
_cell_length_b 5.211
_cell_length_c 9.987
_cell_angle_alpha 58.89
_cell_angle_beta 90.00
_cell_angle_gamma 90.00
_space_group_name_H-M_alt 'P 1'
_space_group_IT_number 1
_space_group_name_Hall 'P 1'
loop_
_atom_site_label
_atom_site_type_symbol
_atom_site_fract_x
_atom_site_fract_y
_atom_site_fract_z
_atom_site_occupancy
H1 H 0.043 0.123 0.218 1
H2 H 0.457 0.123 0.718 1
Al1 Al 0.825 0.904 0.193 1
O1 O 0.323 0.896 0.772 1
H3 H 0.560 0.404 0.669 1
H4 H 0.060 0.596 0.831 1
Al2 Al 0.175 0.096 0.807 1
O2 O 0.864 0.681 0.420 1
O3 O 0.294 0.405 0.781 1
O4 O 0.052 0.793 0.825 1
H5 H 0.828 0.755 0.486 1
H6 H 0.957 0.877 0.782 1
O5 O 0.986 0.709 0.173 1
H7 H 0.147 0.538 0.520 1
O6 O 0.448 0.793 0.325 1
O7 O 0.217 0.891 0.022 1
O8 O 0.717 0.109 0.478 1
P1 P 0.147 0.725 0.184 1
H8 H 0.172 0.245 0.514 1
O9 O 0.014 0.291 0.827 1
O10 O 0.136 0.319 0.580 1
O11 O 0.706 0.595 0.219 1
Al3 Al 0.675 0.904 0.693 1
O12 O 0.783 0.109 0.978 1
O13 O 0.677 0.104 0.228 1
O14 O 0.948 0.207 0.175 1
O15 O 0.206 0.405 0.281 1
H9 H 0.328 0.245 0.014 1
O16 O 0.486 0.291 0.327 1
H10 H 0.353 0.538 0.020 1
O17 O 0.364 0.319 0.080 1
H11 H 0.647 0.462 0.980 1
P2 P 0.853 0.275 0.816 1
H12 H 0.853 0.462 0.480 1
Al4 Al 0.325 0.096 0.307 1
O18 O 0.794 0.595 0.719 1
P3 P 0.353 0.725 0.684 1
O19 O 0.283 0.891 0.522 1
H13 H 0.940 0.404 0.169 1
O20 O 0.514 0.709 0.673 1
H14 H 0.543 0.877 0.282 1
O21 O 0.823 0.104 0.728 1
O22 O 0.636 0.681 0.920 1
P4 P 0.647 0.275 0.316 1
O23 O 0.552 0.207 0.675 1
H15 H 0.672 0.755 0.986 1
O24 O 0.177 0.896 0.272 1
H16 H 0.440 0.596 0.331 1
```


2.
This record from the Materials Project describes a relaxed structure of Al3P2H6O11. The functional is GGA-PBE.

Computed properties:
**Magnetization**: 1.02 μB/f.u.
**SG**: Pna2_1

Structure (CIF):
```
data_Al3P2H6O11
_cell_length_a 6.535
_cell_length_b 10.471
_cell_length_c 16.984
_cell_angle_alpha 90.00
_cell_angle_beta 90.00
_cell_angle_gamma 90.00
_space_group_name_H-M_alt 'P 1'
_space_group_IT_number 1
_space_group_name_Hall 'P 1'
loop_
_atom_site_label
_atom_site_type_symbol
_atom_site_fract_x
_atom_site_fract_y
_atom_site_fract_z
_atom_site_occupancy
O1 O 0.670 0.507 0.515 1
Al1 Al 0.338 0.249 0.406 1
O2 O 0.809 0.194 0.133 1
H1 H 0.348 0.420 0.370 1
O3 O 0.364 0.624 0.563 1
Al2 Al 0.950 0.728 0.215 1
H2 H 0.848 0.080 0.370 1
H3 H 0.179 0.861 0.075 1
O4 O 0.142 0.092 0.226 1
O5 O 0.090 0.424 0.752 1
O6 O 0.686 0.603 0.021 1
Al3 Al 0.423 0.715 0.658 1
H4 H 0.488 0.652 0.267 1
H5 H 0.321 0.361 0.575 1
P1 P 0.575 0.472 0.001 1
O7 O 0.515 0.151 0.224 1
Al4 Al 0.162 0.749 0.906 1
P2 P 0.854 0.432 0.264 1
O8 O 0.619 0.447 0.915 1
H6 H 0.263 0.513 0.964 1
O9 O 0.588 0.259 0.439 1
O10 O 0.410 0.924 0.252 1
P3 P 0.646 0.932 0.764 1
O11 O 0.153 0.596 0.853 1
O12 O 0.412 0.741 0.939 1
O13 O 0.015 0.349 0.224 1
O14 O 0.705 0.767 0.154 1
Al5 Al 0.838 0.251 0.406 1
O15 O 0.795 0.267 0.654 1
Al6 Al 0.550 0.228 0.715 1
P4 P 0.925 0.972 0.501 1
H7 H 0.012 0.152 0.767 1
O16 O 0.295 0.233 0.654 1
O17 O 0.191 0.806 0.633 1
O18 O 0.881 0.947 0.415 1
O19 O 0.347 0.096 0.353 1
P5 P 0.075 0.028 0.001 1
H8 H 0.237 0.013 0.464 1
O20 O 0.136 0.124 0.063 1
O21 O 0.358 0.592 0.726 1
O22 O 0.205 0.733 0.154 1
H9 H 0.821 0.139 0.575 1
H10 H 0.711 0.634 0.589 1
O23 O 0.636 0.376 0.063 1
O24 O 0.814 0.103 0.521 1
O25 O 0.088 0.241 0.439 1
Al7 Al 0.923 0.785 0.658 1
H11 H 0.152 0.920 0.870 1
O26 O 0.985 0.651 0.724 1
H12 H 0.988 0.848 0.267 1
Al8 Al 0.077 0.215 0.158 1
H13 H 0.231 0.664 0.116 1
Al9 Al 0.662 0.751 0.906 1
H14 H 0.289 0.366 0.089 1
H15 H 0.737 0.487 0.464 1
Al10 Al 0.577 0.285 0.158 1
O27 O 0.847 0.404 0.353 1
O28 O 0.186 0.897 0.021 1
O29 O 0.858 0.908 0.726 1
O30 O 0.170 0.993 0.515 1
H16 H 0.211 0.866 0.589 1
O31 O 0.691 0.694 0.633 1
O32 O 0.590 0.076 0.752 1
H17 H 0.789 0.134 0.089 1
O33 O 0.381 0.553 0.415 1
H18 H 0.731 0.836 0.116 1
O34 O 0.485 0.849 0.724 1
Al11 Al 0.450 0.772 0.215 1
O35 O 0.119 0.053 0.915 1
H19 H 0.512 0.348 0.767 1
H20 H 0.679 0.639 0.075 1
O36 O 0.330 0.493 0.015 1
O37 O 0.642 0.408 0.226 1
O38 O 0.910 0.576 0.252 1
O39 O 0.653 0.904 0.853 1
O40 O 0.912 0.759 0.939 1
H21 H 0.269 0.164 0.616 1
O41 O 0.314 0.397 0.521 1
O42 O 0.309 0.306 0.133 1
P6 P 0.354 0.068 0.264 1
Al12 Al 0.050 0.272 0.715 1
O43 O 0.864 0.876 0.563 1
P7 P 0.425 0.528 0.501 1
O44 O 0.830 0.007 0.015 1
H22 H 0.769 0.336 0.616 1
H23 H 0.763 0.987 0.964 1
P8 P 0.146 0.568 0.764 1
H24 H 0.652 0.580 0.870 1
```


3.
This record from the Materials Project describes a relaxed structure of AlPH2O4. The functional is GGA-PBE.

Computed properties:
**Magnetization**: 0.00 μB/f.u.
**SG**: P2_1/c

Structure (CIF):
```
data_AlPH2O4
_cell_length_a 9.037
_cell_length_b 5.276
_cell_length_c 10.471
_cell_angle_alpha 60.27
_cell_angle_beta 90.00
_cell_angle_gamma 90.00
_space_group_name_H-M_alt 'P 1'
_space_group_IT_number 1
_space_group_name_Hall 'P 1'
loop_
_atom_site_label
_atom_site_type_symbol
_atom_site_fract_x
_atom_site_fract_y
_atom_site_fract_z
_atom_site_occupancy
H1 H 0.520 0.618 0.849 1
O1 O 0.714 0.046 0.039 1
O2 O 0.286 0.954 0.961 1
O3 O 0.728 0.547 0.263 1
Al1 Al 0.301 0.805 0.152 1
Al2 Al 0.699 0.195 0.848 1
O4 O 0.228 0.453 0.237 1
Al3 Al 0.801 0.195 0.348 1
O5 O 0.695 0.989 0.291 1
H2 H 0.136 0.461 0.954 1
H3 H 0.480 0.382 0.151 1
O6 O 0.195 0.011 0.209 1
Al4 Al 0.199 0.805 0.652 1
P1 P 0.844 0.850 0.697 1
O7 O 0.214 0.954 0.461 1
P2 P 0.656 0.850 0.197 1
P3 P 0.344 0.150 0.803 1
O8 O 0.513 0.182 0.803 1
H4 H 0.864 0.539 0.046 1
H5 H 0.636 0.539 0.546 1
H6 H 0.980 0.618 0.349 1
H7 H 0.364 0.461 0.454 1
O9 O 0.487 0.818 0.197 1
O10 O 0.987 0.182 0.303 1
O11 O 0.805 0.989 0.791 1
O12 O 0.305 0.011 0.709 1
O13 O 0.786 0.046 0.539 1
P4 P 0.156 0.150 0.303 1
H8 H 0.020 0.382 0.651 1
O14 O 0.272 0.453 0.737 1
O15 O 0.772 0.547 0.763 1
O16 O 0.013 0.818 0.697 1
```


4.
This record from the Materials Project describes a relaxed structure of AlP2H5O9. The functional is GGA-PBE.

Computed properties:
**Magnetization**: 0.00 μB/f.u.
**SG**: P2_1/c

Structure (CIF):
```
data_AlP2H5O9
_cell_length_a 9.366
_cell_length_b 7.966
_cell_length_c 9.330
_cell_angle_alpha 69.54
_cell_angle_beta 90.00
_cell_angle_gamma 90.00
_space_group_name_H-M_alt 'P 1'
_space_group_IT_number 1
_space_group_name_Hall 'P 1'
loop_
_atom_site_label
_atom_site_type_symbol
_atom_site_fract_x
_atom_site_fract_y
_atom_site_fract_z
_atom_site_occupancy
O1 O 0.278 0.931 0.730 1
O2 O 0.714 0.711 0.343 1
O3 O 0.162 0.668 0.468 1
P1 P 0.879 0.127 0.633 1
O4 O 0.145 0.971 0.478 1
Al1 Al 0.288 0.132 0.067 1
H1 H 0.912 0.867 0.137 1
P2 P 0.109 0.374 0.234 1
H2 H 0.040 0.252 0.957 1
H3 H 0.460 0.252 0.457 1
O5 O 0.662 0.332 0.032 1
O6 O 0.838 0.332 0.532 1
O7 O 0.722 0.069 0.270 1
P3 P 0.609 0.626 0.266 1
O8 O 0.214 0.289 0.157 1
H4 H 0.088 0.133 0.863 1
H5 H 0.412 0.133 0.363 1
O9 O 0.611 0.415 0.353 1
H6 H 0.801 0.378 0.920 1
O10 O 0.895 0.846 0.040 1
O11 O 0.645 0.029 0.022 1
H7 H 0.588 0.867 0.637 1
O12 O 0.111 0.585 0.147 1
H8 H 0.599 0.224 0.776 1
P4 P 0.891 0.626 0.766 1
O13 O 0.778 0.069 0.770 1
H9 H 0.357 0.574 0.923 1
H10 H 0.301 0.622 0.580 1
O14 O 0.855 0.029 0.522 1
O15 O 0.449 0.670 0.296 1
P5 P 0.379 0.873 0.867 1
O16 O 0.639 0.663 0.098 1
P6 P 0.621 0.127 0.133 1
H11 H 0.099 0.776 0.724 1
P7 P 0.121 0.873 0.367 1
H12 H 0.699 0.378 0.420 1
H13 H 0.540 0.748 0.543 1
O17 O 0.463 0.121 0.181 1
Al2 Al 0.712 0.868 0.933 1
O18 O 0.786 0.711 0.843 1
O19 O 0.361 0.337 0.902 1
O20 O 0.355 0.971 0.978 1
H14 H 0.143 0.574 0.423 1
O21 O 0.051 0.670 0.796 1
Al3 Al 0.788 0.868 0.433 1
O22 O 0.338 0.668 0.968 1
O23 O 0.551 0.330 0.704 1
Al4 Al 0.212 0.132 0.567 1
H15 H 0.199 0.622 0.080 1
O24 O 0.537 0.879 0.819 1
O25 O 0.139 0.337 0.402 1
O26 O 0.861 0.663 0.598 1
H16 H 0.901 0.224 0.276 1
H17 H 0.960 0.748 0.043 1
O27 O 0.395 0.154 0.460 1
O28 O 0.963 0.879 0.319 1
O29 O 0.222 0.931 0.230 1
O30 O 0.105 0.154 0.960 1
O31 O 0.949 0.330 0.204 1
O32 O 0.389 0.585 0.647 1
O33 O 0.286 0.289 0.657 1
O34 O 0.889 0.415 0.853 1
H18 H 0.643 0.426 0.077 1
H19 H 0.401 0.776 0.224 1
P8 P 0.391 0.374 0.734 1
O35 O 0.605 0.846 0.540 1
O36 O 0.037 0.121 0.681 1
H20 H 0.857 0.426 0.577 1
```


5.
This record from the Materials Project describes a relaxed structure of Rb9AlH4O8. The functional is GGA-PBE.

Computed properties:
**Magnetization**: 0.01 μB/f.u.
**SG**: P2_1/c

Structure (CIF):
```
data_Rb9AlH4O8
_cell_length_a 7.095
_cell_length_b 13.222
_cell_length_c 19.800
_cell_angle_alpha 89.96
_cell_angle_beta 90.00
_cell_angle_gamma 90.00
_space_group_name_H-M_alt 'P 1'
_space_group_IT_number 1
_space_group_name_Hall 'P 1'
loop_
_atom_site_label
_atom_site_type_symbol
_atom_site_fract_x
_atom_site_fract_y
_atom_site_fract_z
_atom_site_occupancy
Rb1 Rb 0.704 0.670 0.212 1
Rb2 Rb 0.204 0.330 0.288 1
O1 O 0.465 0.141 0.714 1
O2 O 0.545 0.074 0.107 1
O3 O 0.216 0.243 0.419 1
O4 O 0.071 0.874 0.053 1
Rb3 Rb 0.366 0.875 0.153 1
Rb4 Rb 0.768 0.435 0.847 1
Al1 Al 0.027 0.244 0.915 1
O5 O 0.573 0.349 0.463 1
O6 O 0.073 0.651 0.037 1
H1 H 0.833 0.861 0.772 1
O7 O 0.457 0.750 0.674 1
Rb5 Rb 0.751 0.961 0.001 1
Rb6 Rb 0.296 0.330 0.788 1
Rb7 Rb 0.232 0.565 0.153 1
Rb8 Rb 0.632 0.961 0.666 1
Rb9 Rb 0.672 0.255 0.195 1
H2 H 0.060 0.101 0.633 1
Rb10 Rb 0.885 0.233 0.502 1
O8 O 0.043 0.750 0.174 1
Rb11 Rb 0.634 0.125 0.847 1
O9 O 0.055 0.574 0.812 1
O10 O 0.716 0.757 0.081 1
H3 H 0.964 0.614 0.437 1
Rb12 Rb 0.115 0.767 0.498 1
Rb13 Rb 0.219 0.481 0.952 1
Al2 Al 0.527 0.756 0.585 1
O11 O 0.442 0.388 0.112 1
H4 H 0.667 0.861 0.272 1
Al3 Al 0.473 0.244 0.415 1
O12 O 0.045 0.926 0.393 1
Rb14 Rb 0.719 0.519 0.548 1
H5 H 0.536 0.614 0.937 1
Rb15 Rb 0.781 0.519 0.048 1
H6 H 0.464 0.386 0.063 1
O13 O 0.427 0.651 0.537 1
O14 O 0.927 0.349 0.963 1
O15 O 0.558 0.612 0.888 1
H7 H 0.167 0.139 0.228 1
O16 O 0.965 0.859 0.786 1
Rb16 Rb 0.385 0.767 0.998 1
Rb17 Rb 0.281 0.481 0.452 1
Rb18 Rb 0.268 0.565 0.653 1
Rb19 Rb 0.615 0.233 0.002 1
Rb20 Rb 0.828 0.255 0.695 1
Rb21 Rb 0.249 0.039 0.999 1
O17 O 0.784 0.757 0.581 1
O18 O 0.058 0.388 0.612 1
Rb22 Rb 0.907 0.720 0.910 1
Rb23 Rb 0.866 0.125 0.347 1
H8 H 0.329 0.541 0.299 1
O19 O 0.571 0.126 0.447 1
O20 O 0.955 0.074 0.607 1
H9 H 0.829 0.459 0.201 1
O21 O 0.543 0.250 0.326 1
Rb24 Rb 0.172 0.745 0.305 1
Rb25 Rb 0.368 0.039 0.334 1
H10 H 0.440 0.101 0.133 1
Al4 Al 0.973 0.756 0.085 1
Rb26 Rb 0.749 0.961 0.501 1
O22 O 0.455 0.926 0.893 1
O23 O 0.942 0.612 0.388 1
H11 H 0.171 0.541 0.799 1
Rb27 Rb 0.868 0.961 0.166 1
Rb28 Rb 0.796 0.670 0.712 1
O24 O 0.945 0.426 0.188 1
Rb29 Rb 0.593 0.720 0.410 1
Rb30 Rb 0.732 0.435 0.347 1
Rb31 Rb 0.328 0.745 0.805 1
H12 H 0.333 0.139 0.728 1
O25 O 0.535 0.859 0.286 1
H13 H 0.036 0.386 0.563 1
O26 O 0.555 0.426 0.688 1
H14 H 0.560 0.899 0.867 1
Rb32 Rb 0.251 0.039 0.499 1
Rb33 Rb 0.407 0.280 0.590 1
O27 O 0.284 0.243 0.919 1
O28 O 0.429 0.874 0.553 1
H15 H 0.671 0.459 0.701 1
Rb34 Rb 0.093 0.280 0.090 1
Rb35 Rb 0.132 0.039 0.834 1
H16 H 0.940 0.899 0.367 1
Rb36 Rb 0.134 0.875 0.653 1
O29 O 0.957 0.250 0.826 1
O30 O 0.445 0.574 0.312 1
O31 O 0.929 0.126 0.947 1
O32 O 0.035 0.141 0.214 1
```


| no. | E (eV per cell) |
| --- | --- |
| 1 | -297.6 |
| 2 | -535.4 |
| 3 | -187.4 |
| 4 | -428.9 |
| 5 | -387.3 |